--- A ---
# Mg14CuB

Crystalline Mg14CuB at its relaxed geometry (PBE-GGA, the Materials Project database).

abc: 6.148 6.148 10.025
angles: 90.00 90.00 120.00
Positions (direct):
Mg 0.000 0.000 0.249
Mg 0.000 0.000 0.751
Mg 0.013 0.507 0.252
Mg 0.013 0.507 0.748
Mg 0.332 0.166 0.000
Mg 0.332 0.166 0.500
Mg 0.493 0.507 0.252
Mg 0.493 0.507 0.748
Mg 0.493 0.987 0.252
Mg 0.493 0.987 0.748
Mg 0.834 0.166 0.000
Mg 0.834 0.166 0.500
Mg 0.834 0.668 0.000
Mg 0.834 0.668 0.500
Cu 0.333 0.667 0.000
B 0.333 0.667 0.500

Summary:
Its total magnetization is 0.0 μB/cell.



--- B ---
# Mg14CuB

Crystalline Mg14CuB at its relaxed geometry (PBE-GGA, the Materials Project database).

abc: 9.986 6.219 6.219
angles: 60.57 90.00 90.00
Positions (direct):
Mg 0.000 0.000 0.000
Mg 0.000 0.008 0.504
Mg 0.000 0.499 0.499
Mg 0.000 0.504 0.008
Mg 0.248 0.672 0.672
Mg 0.251 0.174 0.174
Mg 0.307 0.171 0.692
Mg 0.307 0.692 0.171
Mg 0.500 0.454 0.965
Mg 0.500 0.965 0.454
Mg 0.693 0.171 0.692
Mg 0.693 0.692 0.171
Mg 0.749 0.174 0.174
Mg 0.752 0.672 0.672
Cu 0.500 0.514 0.514
B 0.500 0.027 0.027

Summary:
Its total magnetization is 0.0 μB/cell.



Order of stability, best first: B, A



--- A ---
# Mg6CuB

Crystalline Mg6CuB at its relaxed geometry (PBE-GGA, the Materials Project database).

abc: 4.489 6.402 10.177
angles: 90.00 90.00 90.00
Positions (direct):
Mg 0.000 0.242 0.407
Mg 0.500 0.247 0.096
B 0.500 0.000 0.309
Mg 0.000 0.258 0.907
Mg 0.000 0.742 0.907
Mg 0.000 0.500 0.174
Cu 0.500 0.500 0.338
B 0.500 0.500 0.809
Mg 0.500 0.253 0.596
Mg 0.000 0.758 0.407
Mg 0.000 0.500 0.673
Cu 0.500 0.000 0.838
Mg 0.000 0.000 0.674
Mg 0.000 0.000 0.173
Mg 0.500 0.753 0.096
Mg 0.500 0.747 0.596

Summary:
Its total magnetization is 0.0 μB/cell.



--- B ---
# Mg6CuB

Crystalline Mg6CuB at its relaxed geometry (PBE-GGA, the Materials Project database).

abc: 3.709 6.399 6.399
angles: 78.49 90.00 90.00
Positions (direct):
Mg 0.000 0.000 0.000
Mg 0.000 0.077 0.435
Mg 0.000 0.435 0.077
Mg 0.500 0.296 0.731
Mg 0.500 0.731 0.296
Mg 0.500 0.767 0.767
Cu 0.000 0.578 0.578
B 0.500 0.152 0.152

Summary:
Its total magnetization is 0.0 μB/cell.



Order of stability, best first: B, A



--- A ---
# Cu3BO5

Crystalline Cu3BO5 at its relaxed geometry (PBE-GGA, the Materials Project database).

abc: 3.275 11.891 9.853
angles: 90.00 103.09 90.00
Positions (direct):
Cu 0.000 0.000 0.000
Cu 0.000 0.500 0.500
Cu 0.056 0.223 0.494
Cu 0.056 0.277 0.994
Cu 0.436 0.615 0.264
Cu 0.436 0.885 0.764
Cu 0.500 0.000 0.500
Cu 0.500 0.500 0.000
Cu 0.564 0.115 0.236
Cu 0.564 0.385 0.736
Cu 0.944 0.723 0.006
Cu 0.944 0.777 0.506
B 0.448 0.636 0.735
B 0.448 0.864 0.235
B 0.552 0.136 0.765
B 0.552 0.364 0.265
O 0.022 0.085 0.391
O 0.022 0.415 0.891
O 0.064 0.144 0.093
O 0.064 0.356 0.593
O 0.374 0.738 0.667
O 0.374 0.762 0.167
O 0.436 0.538 0.659
O 0.436 0.962 0.159
O 0.460 0.133 0.621
O 0.460 0.367 0.121
O 0.540 0.633 0.879
O 0.540 0.867 0.379
O 0.564 0.038 0.841
O 0.564 0.462 0.341
O 0.626 0.238 0.833
O 0.626 0.262 0.333
O 0.936 0.644 0.407
O 0.936 0.856 0.907
O 0.978 0.585 0.109
O 0.978 0.915 0.609

Summary:
Its total magnetization is 3.0 μB/cell.



--- B ---
# Cu3BO5

Crystalline Cu3BO5 at its relaxed geometry (PBE-GGA, the Materials Project database).

abc: 3.311 9.392 11.996
angles: 90.00 94.50 90.00
Positions (direct):
Cu 0.000 0.000 0.000
Cu 0.000 0.500 0.500
Cu 0.068 0.014 0.275
Cu 0.068 0.486 0.775
Cu 0.419 0.736 0.623
Cu 0.419 0.764 0.123
Cu 0.500 0.000 0.500
Cu 0.500 0.500 0.000
Cu 0.581 0.236 0.877
Cu 0.581 0.264 0.377
Cu 0.932 0.514 0.225
Cu 0.932 0.986 0.725
B 0.368 0.734 0.369
B 0.368 0.766 0.869
B 0.632 0.234 0.131
B 0.632 0.266 0.631
O 0.023 0.591 0.644
O 0.023 0.909 0.144
O 0.181 0.124 0.409
O 0.181 0.376 0.909
O 0.332 0.663 0.267
O 0.332 0.837 0.767
O 0.350 0.658 0.467
O 0.350 0.842 0.967
O 0.442 0.621 0.868
O 0.442 0.879 0.368
O 0.558 0.121 0.632
O 0.558 0.379 0.132
O 0.650 0.158 0.033
O 0.650 0.342 0.533
O 0.668 0.163 0.233
O 0.668 0.337 0.733
O 0.819 0.624 0.091
O 0.819 0.876 0.591
O 0.977 0.091 0.856
O 0.977 0.409 0.356



Order of stability, best first: B, A



--- A ---
# B40H51F3

Crystalline B40H51F3 at its relaxed geometry (PBE-GGA, the Materials Project database).

abc: 8.054 9.873 10.547
angles: 83.77 88.79 69.45
Positions (direct):
B 0.000 0.000 0.000
B 0.000 0.223 0.774
B 0.049 0.810 0.977
B 0.092 0.665 0.573
B 0.098 0.781 0.433
B 0.142 0.243 0.886
B 0.220 0.324 0.003
B 0.220 0.685 0.066
B 0.233 0.211 0.740
B 0.267 0.490 0.091
B 0.268 0.849 0.457
B 0.272 0.210 0.440
B 0.294 0.668 0.526
B 0.331 0.191 0.607
B 0.340 0.426 0.941
B 0.417 0.540 0.016
B 0.429 0.708 0.008
B 0.493 0.634 0.623
B 0.497 0.445 0.170
B 0.505 0.133 0.501
B 0.562 0.763 0.693
B 0.602 0.376 0.716
B 0.618 0.718 0.082
B 0.621 0.555 0.045
B 0.635 0.269 0.201
B 0.638 0.955 0.936
B 0.663 0.955 0.525
B 0.668 0.615 0.505
B 0.695 0.771 0.528
B 0.696 0.811 0.819
B 0.733 0.429 0.560
B 0.756 0.824 0.664
B 0.760 0.244 0.823
B 0.776 0.093 0.910
B 0.777 0.778 0.987
B 0.818 0.328 0.696
B 0.827 0.606 0.104
B 0.832 0.928 0.023
B 0.884 0.815 0.528
B 0.950 0.188 0.937
H 0.044 0.972 0.128
H 0.046 0.056 0.098
H 0.053 0.102 0.741
H 0.054 0.803 0.865
H 0.068 0.655 0.784
H 0.082 0.748 0.328
H 0.093 0.916 0.425
H 0.097 0.576 0.809
H 0.135 0.931 0.948
H 0.145 0.594 0.144
H 0.183 0.142 0.412
H 0.185 0.269 0.552
H 0.211 0.268 0.110
H 0.240 0.329 0.382
H 0.266 0.922 0.541
H 0.280 0.088 0.671
H 0.293 0.740 0.139
H 0.297 0.140 0.858
H 0.318 0.448 0.829
H 0.339 0.408 0.191
H 0.341 0.870 0.360
H 0.347 0.568 0.459
H 0.368 0.815 0.934
H 0.400 0.285 0.982
H 0.432 0.129 0.393
H 0.436 0.875 0.691
H 0.475 0.518 0.259
H 0.494 0.332 0.679
H 0.498 0.006 0.984
H 0.519 0.521 0.721
H 0.551 0.789 0.168
H 0.562 0.881 0.478
H 0.573 0.222 0.478
H 0.576 0.591 0.405
H 0.590 0.735 0.825
H 0.616 0.966 0.817
H 0.654 0.625 0.375
H 0.668 0.965 0.649
H 0.706 0.498 0.958
H 0.788 0.225 0.235
H 0.791 0.944 0.132
H 0.817 0.518 0.801
H 0.825 0.523 0.514
H 0.832 0.956 0.494
H 0.848 0.719 0.885
H 0.880 0.614 0.209
H 0.882 0.016 0.747
H 0.892 0.538 0.771
H 0.895 0.264 0.022
H 0.934 0.519 0.045
H 0.948 0.949 0.722
F 0.053 0.542 0.590
F 0.570 0.161 0.188
F 0.737 0.353 0.458

Summary:
Its total magnetization is 0.0 μB/cell.



--- B ---
# B40H51F3

Crystalline B40H51F3 at its relaxed geometry (PBE-GGA, the Materials Project database).

abc: 7.144 12.888 13.018
angles: 106.20 90.07 90.20
Positions (direct):
B 0.000 0.000 0.000
B 0.002 0.052 0.144
B 0.021 0.237 0.080
B 0.037 0.113 0.946
B 0.037 0.613 0.446
B 0.053 0.736 0.579
B 0.073 0.552 0.645
B 0.074 0.500 0.500
B 0.109 0.184 0.182
B 0.202 0.677 0.658
B 0.206 0.987 0.933
B 0.250 0.542 0.431
B 0.259 0.672 0.525
B 0.278 0.553 0.567
B 0.320 0.131 0.488
B 0.335 0.078 0.600
B 0.380 0.217 0.615
B 0.389 0.994 0.470
B 0.448 0.480 0.956
B 0.455 0.740 0.125
B 0.506 0.078 0.404
B 0.511 0.220 0.497
B 0.522 0.140 0.682
B 0.531 0.992 0.584
B 0.544 0.492 0.084
B 0.554 0.640 0.181
B 0.564 0.720 0.998
B 0.570 0.577 0.904
B 0.618 0.242 0.626
B 0.626 0.979 0.455
B 0.685 0.494 0.971
B 0.694 0.718 0.116
B 0.741 0.578 0.101
B 0.755 0.632 0.989
B 0.795 0.052 0.067
B 0.815 0.171 0.025
B 0.823 0.043 0.931
B 0.867 0.488 0.434
B 0.872 0.177 0.158
B 0.966 0.683 0.681
H 0.036 0.330 0.084
H 0.039 0.830 0.583
H 0.081 0.498 0.706
H 0.082 0.911 0.956
H 0.144 0.150 0.893
H 0.147 0.582 0.363
H 0.176 0.080 0.140
H 0.182 0.152 0.446
H 0.193 0.204 0.094
H 0.207 0.955 0.837
H 0.208 0.053 0.648
H 0.278 0.287 0.662
H 0.293 0.919 0.422
H 0.298 0.725 0.732
H 0.325 0.428 0.904
H 0.348 0.992 0.983
H 0.363 0.733 0.500
H 0.365 0.501 0.366
H 0.367 0.818 0.168
H 0.375 0.513 0.056
H 0.379 0.660 0.158
H 0.391 0.697 0.023
H 0.406 0.502 0.585
H 0.520 0.295 0.460
H 0.526 0.152 0.776
H 0.528 0.419 0.123
H 0.536 0.070 0.313
H 0.540 0.570 0.812
H 0.545 0.920 0.624
H 0.547 0.649 0.275
H 0.553 0.792 0.959
H 0.667 0.000 0.084
H 0.680 0.192 0.516
H 0.693 0.155 0.655
H 0.701 0.011 0.554
H 0.710 0.000 0.865
H 0.712 0.233 0.001
H 0.726 0.495 0.484
H 0.743 0.924 0.402
H 0.776 0.224 0.231
H 0.779 0.419 0.922
H 0.797 0.788 0.163
H 0.863 0.455 0.339
H 0.869 0.553 0.148
H 0.882 0.703 0.593
H 0.892 0.652 0.946
H 0.899 0.579 0.639
H 0.926 0.082 0.863
H 0.929 0.648 0.393
H 0.988 0.411 0.457
H 0.993 0.999 0.206
F 0.199 0.236 0.273
F 0.721 0.329 0.674
F 0.873 0.735 0.772

Summary:
Its total magnetization is 2.0 μB/cell.



Order of stability, best first: B, A